1.
BiB3O6 | PBE | relaxed

Cell: 4.3027 11.8221 7.3379 Å, 90.00 91.05 90.00°
With the nearest neighbours (Å) after each atom.
Element x y z (fractional)
Bi 0.1635 0.1138 0.3683  4 O 2.26-2.47
Bi 0.1635 0.3862 0.8683  4 O 2.26-2.47
Bi 0.8365 0.6138 0.1317  4 O 2.26-2.47
Bi 0.8365 0.8862 0.6317  4 O 2.26-2.47
B 0.2012 0.0934 0.8693  4 O 1.45-1.55
B 0.2012 0.4066 0.3693  4 O 1.45-1.55
B 0.3092 0.6251 0.4345  4 O 1.44-1.52
B 0.3092 0.8749 0.9345  4 O 1.44-1.52
B 0.3177 0.6627 0.7933  4 O 1.46-1.54
B 0.3177 0.8373 0.2933  4 O 1.46-1.54
B 0.6823 0.1627 0.7067  4 O 1.46-1.54
B 0.6823 0.3373 0.2067  4 O 1.46-1.54
B 0.6908 0.1251 0.0655  4 O 1.44-1.52
B 0.6908 0.3749 0.5655  4 O 1.44-1.52
B 0.7988 0.5934 0.6307  4 O 1.45-1.55
B 0.7988 0.9066 0.1307  4 O 1.45-1.55
O 0.1462 0.6277 0.6168  3 B 1.52-1.55
O 0.1462 0.8723 0.1168  3 B 1.52-1.55
O 0.1936 0.5287 0.3227  2 B 1.48
O 0.1936 0.9713 0.8227  2 B 1.48
O 0.2116 0.7210 0.3221  2 B 1.46-1.47
O 0.2116 0.7790 0.8221  2 B 1.46-1.47
O 0.2310 0.5813 0.9391  1 B 1.49
O 0.2310 0.9187 0.4391  1 B 1.49
O 0.3454 0.1590 0.7267  2 B 1.45-1.46
O 0.3454 0.3410 0.2267  2 B 1.45-1.46
O 0.3577 0.1169 0.0412  2 B 1.44-1.45
O 0.3577 0.3831 0.5412  2 B 1.44-1.45
O 0.6423 0.6169 0.4588  2 B 1.44-1.45
O 0.6423 0.8831 0.9588  2 B 1.44-1.45
O 0.6546 0.6590 0.7733  2 B 1.45-1.46
O 0.6546 0.8410 0.2733  2 B 1.45-1.46
O 0.7690 0.0813 0.5609  1 B 1.49
O 0.7690 0.4187 0.0609  1 B 1.49
O 0.7884 0.2210 0.1779  2 B 1.46-1.47
O 0.7884 0.2790 0.6779  2 B 1.46-1.47
O 0.8064 0.0287 0.1773  2 B 1.48
O 0.8064 0.4713 0.6773  2 B 1.48
O 0.8538 0.1277 0.8832  3 B 1.52-1.55
O 0.8538 0.3723 0.3832  3 B 1.52-1.55

Relative energy among the computed polymorphs, meV/atom: 17
SG: P2_1/c

2.
Ho2MgBi4O12 | PBE | relaxed

Cell: 5.6609 6.2791 8.6373 Å, 90.15 90.27 92.78°
With the nearest neighbours (Å) after each atom.
Element x y z (fractional)
Ho 0.0000 0.0000 0.0000  6 O 2.25-2.34
Ho 0.4578 0.2748 0.5001  4 O 2.15-2.26
Mg 0.6845 0.6842 0.5021  4 O 1.89-2.11
Bi 0.0185 0.4303 0.7621  3 O 2.21-2.32
Bi 0.0191 0.4319 0.2364  3 O 2.19-2.32
Bi 0.5227 0.9061 0.7707  5 O 2.12-2.19
Bi 0.5265 0.9070 0.2314  5 O 2.12-2.21
O 0.1204 0.3463 0.0004  2 Bi 2.19-2.21, 1 Ho 2.25
O 0.2633 0.1231 0.7023  1 Bi 2.13, 1 Ho 2.26
O 0.2636 0.1228 0.2963  1 Bi 2.14, 1 Ho 2.26
O 0.3634 0.8667 0.0001  2 Bi 2.19-2.21, 1 Ho 2.26
O 0.4184 0.6059 0.6650  1 Mg 2.11, 1 Bi 2.15
O 0.4222 0.6060 0.3338  1 Mg 2.11, 1 Bi 2.15
O 0.6359 0.9798 0.4977  1 Mg 1.89
O 0.7549 0.1693 0.8293  2 Bi 2.12-2.24, 1 Ho 2.32
O 0.7547 0.1700 0.1689  2 Bi 2.12-2.24, 1 Ho 2.31
O 0.8322 0.4185 0.5019  1 Mg 1.90
O 0.8546 0.7533 0.8149  2 Bi 2.18-2.32, 1 Ho 2.34
O 0.8547 0.7538 0.1801  2 Bi 2.18-2.32, 1 Ho 2.32

Relative energy among the computed polymorphs, meV/atom: 130
SG: P1

3.
Gd2Te4O11 | PBE | relaxed

Cell: 6.8246 6.8246 16.4313 Å, 103.95 103.95 45.01°
With the nearest neighbours (Å) after each atom.
Element x y z (fractional)
Gd 0.1301 0.6317 0.9624  7 O 2.32-2.53
Gd 0.3683 0.8699 0.5376  7 O 2.32-2.53
Gd 0.6317 0.1301 0.4624  7 O 2.32-2.53
Gd 0.8699 0.3683 0.0376  7 O 2.32-2.53
Te 0.0887 0.6524 0.6257  3 O 1.90-1.93
Te 0.1025 0.6561 0.3008  3 O 1.87-2.04
Te 0.3439 0.8975 0.1992  3 O 1.87-2.04
Te 0.3476 0.9113 0.8743  3 O 1.90-1.93
Te 0.6524 0.0887 0.1257  3 O 1.90-1.93
Te 0.6561 0.1025 0.8008  3 O 1.87-2.04
Te 0.8975 0.3439 0.6992  3 O 1.87-2.04
Te 0.9113 0.3476 0.3743  3 O 1.90-1.93
O 0.0570 0.8934 0.4019  1 Te 1.93
O 0.1066 0.9430 0.0981  1 Te 1.93
O 0.1652 0.2503 0.9467  1 Te 1.91
O 0.1837 0.3124 0.6282  1 Te 1.93
O 0.2503 0.1652 0.4467  1 Te 1.91
O 0.2960 0.4073 0.8316  1 Te 1.87
O 0.3124 0.1837 0.1282  1 Te 1.93
O 0.3190 0.5404 0.5456  1 Te 1.90
O 0.3541 0.6459 0.2500  2 Te 2.04
O 0.4073 0.2960 0.3316  1 Te 1.87
O 0.4596 0.6810 0.9544  1 Te 1.90
O 0.5404 0.3190 0.0456  1 Te 1.90
O 0.5927 0.7040 0.6684  1 Te 1.87
O 0.6459 0.3541 0.7500  2 Te 2.04
O 0.6810 0.4596 0.4544  1 Te 1.90
O 0.6876 0.8163 0.8718  1 Te 1.93
O 0.7040 0.5927 0.1684  1 Te 1.87
O 0.7497 0.8348 0.5533  1 Te 1.91
O 0.8163 0.6876 0.3718  1 Te 1.93
O 0.8348 0.7497 0.0533  1 Te 1.91
O 0.8934 0.0570 0.9019  1 Te 1.93
O 0.9430 0.1066 0.5981  1 Te 1.93

Relative energy among the computed polymorphs, meV/atom: 0
SG: C2/c

4.
BiPO4 | PBE | relaxed

Cell: 7.1164 7.1164 6.4811 Å, 90.00 90.00 120.00°
With the nearest neighbours (Å) after each atom.
Element x y z (fractional)
Bi 0.0000 0.4901 0.1667  4 O 2.29-2.43
Bi 0.4901 0.0000 0.8333  4 O 2.29-2.43
Bi 0.5099 0.5099 0.5000  4 O 2.29-2.43
P 0.0000 0.4597 0.6667  4 O 1.55-1.56
P 0.4597 0.0000 0.3333  4 O 1.55-1.56
P 0.5403 0.5403 0.0000  4 O 1.55-1.56
O 0.1238 0.6451 0.8259  1 P 1.56
O 0.1522 0.4122 0.5322  1 P 1.55
O 0.2600 0.8478 0.1989  1 P 1.55
O 0.3549 0.4786 0.1592  1 P 1.56
O 0.4122 0.1522 0.4678  1 P 1.55
O 0.4786 0.3549 0.8408  1 P 1.56
O 0.5214 0.8762 0.4926  1 P 1.56
O 0.5878 0.7400 0.8656  1 P 1.55
O 0.6451 0.1238 0.1741  1 P 1.56
O 0.7400 0.5878 0.1344  1 P 1.55
O 0.8478 0.2600 0.8011  1 P 1.55
O 0.8762 0.5214 0.5074  1 P 1.56

SG: P3_121
E_tot, eV per atom: -6.80

5.
Ce2Co17H3 | PBE | relaxed

Cell: 8.4119 8.4119 8.0622 Å, 90.00 90.00 120.00°
With the nearest neighbours (Å) after each atom.
Element x y z (fractional)
Ce 0.0000 0.0000 0.2500  3 H 2.40
Ce 0.0000 0.0000 0.7500  3 H 2.40
Ce 0.3333 0.6667 0.2500  3 H 2.45
Ce 0.6667 0.3333 0.7500  3 H 2.45
Co 0.0000 0.5000 0.0000  10 Co 2.39-2.57
Co 0.0000 0.5000 0.5000  10 Co 2.39-2.57
Co 0.0531 0.3813 0.7500  1 H 1.83
Co 0.0531 0.6718 0.7500  1 H 1.83
Co 0.1683 0.3366 0.0246  1 H 1.82
Co 0.1683 0.3366 0.4754  1 H 1.82
Co 0.1683 0.8317 0.0246  1 H 1.82
Co 0.1683 0.8317 0.4754  1 H 1.82
Co 0.3282 0.3813 0.7500  1 H 1.83
Co 0.3282 0.9469 0.7500  1 H 1.83
Co 0.3333 0.6667 0.6057  4 Co 2.33-2.57
Co 0.3333 0.6667 0.8943  4 Co 2.33-2.57
Co 0.3366 0.1683 0.5246  1 H 1.82
Co 0.3366 0.1683 0.9754  1 H 1.82
Co 0.3813 0.0531 0.2500  1 H 1.83
Co 0.3813 0.3282 0.2500  1 H 1.83
Co 0.5000 0.0000 0.0000  10 Co 2.39-2.57
Co 0.5000 0.0000 0.5000  10 Co 2.39-2.57
Co 0.5000 0.5000 0.0000  10 Co 2.39-2.57
Co 0.5000 0.5000 0.5000  10 Co 2.39-2.57
Co 0.6187 0.6718 0.7500  1 H 1.83
Co 0.6187 0.9469 0.7500  1 H 1.83
Co 0.6634 0.8317 0.0246  1 H 1.82
Co 0.6634 0.8317 0.4754  1 H 1.82
Co 0.6667 0.3333 0.1057  4 Co 2.33-2.57
Co 0.6667 0.3333 0.3943  4 Co 2.33-2.57
Co 0.6718 0.0531 0.2500  1 H 1.83
Co 0.6718 0.6187 0.2500  1 H 1.83
Co 0.8317 0.1683 0.5246  1 H 1.82
Co 0.8317 0.1683 0.9754  1 H 1.82
Co 0.8317 0.6634 0.5246  1 H 1.82
Co 0.8317 0.6634 0.9754  1 H 1.82
Co 0.9469 0.3282 0.2500  1 H 1.83
Co 0.9469 0.6187 0.2500  1 H 1.83
H 0.1650 0.3300 0.2500  4 Co 1.82-1.83
H 0.1650 0.8350 0.2500  4 Co 1.82-1.83
H 0.3300 0.1650 0.7500  4 Co 1.82-1.83
H 0.6700 0.8350 0.2500  4 Co 1.82-1.83
H 0.8350 0.1650 0.7500  4 Co 1.82-1.83
H 0.8350 0.6700 0.7500  4 Co 1.82-1.83

SG: P6_3/mmc
E_tot, eV per atom: -6.61

6.
Gd2InNi2 | PBE | relaxed

Cell: 7.4884 7.4884 3.7157 Å, 90.00 90.00 148.84°
With the nearest neighbours (Å) after each atom.
Element x y z (fractional)
Gd 0.1377 0.8623 0.0000  6 Ni 2.88-3.00
Gd 0.8623 0.1377 0.0000  6 Ni 2.88-3.00
In 0.5000 0.5000 0.5000  2 Ni 2.87
Ni 0.3007 0.6993 0.5000  2 Ni 2.49
Ni 0.6993 0.3007 0.5000  2 Ni 2.49

SG: Cmmm
E_tot, eV per atom: -8.99